Compound: MgV4O10
Source: the Materials Project
Functional: PBE with a Hubbard U
Structure: relaxed

Values from the calculation:
Its spin magnetization is 2.000 μB per formula unit. The energy relative to the elements comes out at -2.392 eV per atom. As for the space group: P1, No. 1. Its energy above the most stable polymorph in this dataset is 102 meV per atom.

Lattice parameters (Å, degrees): 4.9161 5.3914 6.6203 101.27 111.67 91.65
Positions (direct):
1 Mg 0.0000 0.0000 0.0000
2 V 0.1239 0.6140 0.2416
3 V 0.3195 0.0882 0.6572
4 V 0.6207 0.1263 0.2455
5 V 0.7943 0.5721 0.6422
6 O 0.0420 0.8599 0.7083
7 O 0.1634 0.3472 0.7149
8 O 0.2547 0.3278 0.1608
9 O 0.3821 0.8434 0.1648
10 O 0.4513 0.7049 0.5425
11 O 0.5877 0.2172 0.5487
12 O 0.5991 0.0993 0.9345
13 O 0.8386 0.4675 0.3532
14 O 0.8429 0.6065 0.9274
15 O 0.9993 0.9674 0.3291